(1)
A relaxed structure of Na10Y4Zr4Si7S5O48, computed with PBE-GGA.

Values from the calculation:
- E (MP2020) (eV per cell) = -1784.685
- density (g/cm3) = 2.96
- VASP energy (eV/atom) = -7.204

Cell and atoms, written as CIF:
```
data_Na10Y4Zr4Si7S5O48
_chemical_formula_sum 'Na30 Y12 Zr12 Si21 S15 O144'
_symmetry_space_group_name_H-M 'P 1'
_symmetry_Int_Tables_number 1
_cell_length_a 9.266
_cell_length_b 16.137
_cell_length_c 23.330
_cell_angle_alpha 90.89
_cell_angle_beta 90.03
_cell_angle_gamma 90.21
loop_
_symmetry_equiv_pos_as_xyz
'x,y,z'
loop_
_atom_site_label
_atom_site_type_symbol
_atom_site_fract_x
_atom_site_fract_y
_atom_site_fract_z
_atom_site_occupancy
Na1 Na 0.000 0.000 0.000 1
Na2 Na 0.000 0.332 0.662 1
Na3 Na 0.120 0.832 0.166 1
Na4 Na 0.122 0.167 0.832 1
Na5 Na 0.132 0.522 0.833 1
Na6 Na 0.168 0.528 0.186 1
Na7 Na 0.281 0.339 0.585 1
Na8 Na 0.288 0.672 0.256 1
Na9 Na 0.289 0.989 0.920 1
Na10 Na 0.307 0.677 0.751 1
Na11 Na 0.318 0.999 0.424 1
Na12 Na 0.326 0.339 0.090 1
Na13 Na 0.442 0.195 0.018 1
Na14 Na 0.445 0.527 0.680 1
Na15 Na 0.447 0.864 0.349 1
Na16 Na 0.490 0.521 0.334 1
Na17 Na 0.499 0.167 0.328 1
Na18 Na 0.499 0.832 0.661 1
Na19 Na 0.620 0.669 0.827 1
Na20 Na 0.621 0.334 0.166 1
Na21 Na 0.629 0.025 0.833 1
Na22 Na 0.775 0.493 0.918 1
Na23 Na 0.780 0.839 0.584 1
Na24 Na 0.798 0.167 0.247 1
Na25 Na 0.806 0.179 0.754 1
Na26 Na 0.824 0.839 0.094 1
Na27 Na 0.842 0.494 0.417 1
Na28 Na 0.946 0.028 0.680 1
Na29 Na 0.988 0.020 0.333 1
Na30 Na 0.991 0.355 0.002 1
Y1 Y 0.299 0.358 0.443 1
Y2 Y 0.306 0.016 0.774 1
Y3 Y 0.307 0.685 0.108 1
Y4 Y 0.311 0.021 0.270 1
Y5 Y 0.312 0.684 0.605 1
Y6 Y 0.320 0.358 0.942 1
Y7 Y 0.803 0.856 0.442 1
Y8 Y 0.807 0.516 0.773 1
Y9 Y 0.812 0.181 0.109 1
Y10 Y 0.812 0.184 0.606 1
Y11 Y 0.815 0.522 0.277 1
Y12 Y 0.817 0.853 0.941 1
Zr1 Zr 0.297 0.022 0.074 1
Zr2 Zr 0.297 0.354 0.739 1
Zr3 Zr 0.299 0.690 0.404 1
Zr4 Zr 0.310 0.694 0.904 1
Zr5 Zr 0.322 0.353 0.239 1
Zr6 Zr 0.326 0.019 0.572 1
Zr7 Zr 0.790 0.521 0.074 1
Zr8 Zr 0.796 0.853 0.738 1
Zr9 Zr 0.808 0.195 0.404 1
Zr10 Zr 0.824 0.519 0.572 1
Zr11 Zr 0.825 0.855 0.238 1
Zr12 Zr 0.826 0.191 0.905 1
Si1 Si 0.005 0.017 0.177 1
Si2 Si 0.010 0.352 0.844 1
Si3 Si 0.109 0.851 0.340 1
Si4 Si 0.111 0.184 0.006 1
Si5 Si 0.111 0.517 0.678 1
Si6 Si 0.162 0.837 0.012 1
Si7 Si 0.165 0.503 0.340 1
Si8 Si 0.166 0.167 0.675 1
Si9 Si 0.455 0.172 0.175 1
Si10 Si 0.455 0.837 0.510 1
Si11 Si 0.456 0.506 0.839 1
Si12 Si 0.505 0.517 0.179 1
Si13 Si 0.512 0.851 0.841 1
Si14 Si 0.605 0.351 0.342 1
Si15 Si 0.610 0.017 0.678 1
Si16 Si 0.664 0.001 0.341 1
Si17 Si 0.665 0.667 0.675 1
Si18 Si 0.669 0.334 0.011 1
Si19 Si 0.952 0.667 0.172 1
Si20 Si 0.954 0.003 0.842 1
Si21 Si 0.955 0.338 0.513 1
S1 S 0.011 0.681 0.506 1
S2 S 0.149 0.538 0.005 1
S3 S 0.155 0.872 0.671 1
S4 S 0.156 0.205 0.341 1
S5 S 0.462 0.206 0.840 1
S6 S 0.465 0.871 0.172 1
S7 S 0.469 0.538 0.506 1
S8 S 0.512 0.181 0.504 1
S9 S 0.605 0.680 0.004 1
S10 S 0.653 0.707 0.340 1
S11 S 0.654 0.038 0.003 1
S12 S 0.655 0.372 0.670 1
S13 S 0.960 0.375 0.170 1
S14 S 0.964 0.705 0.839 1
S15 S 0.969 0.038 0.506 1
O1 O 0.000 0.864 0.393 1
O2 O 0.011 0.169 0.946 1
O3 O 0.011 0.841 0.280 1
O4 O 0.025 0.526 0.738 1
O5 O 0.095 0.020 0.236 1
O6 O 0.100 0.690 0.558 1
O7 O 0.105 0.359 0.901 1
O8 O 0.108 0.672 0.455 1
O9 O 0.119 0.006 0.121 1
O10 O 0.120 0.372 0.175 1
O11 O 0.121 0.340 0.787 1
O12 O 0.123 0.694 0.844 1
O13 O 0.124 0.027 0.838 1
O14 O 0.127 0.685 0.167 1
O15 O 0.129 0.034 0.508 1
O16 O 0.129 0.347 0.509 1
O17 O 0.181 0.114 0.733 1
O18 O 0.184 0.256 0.289 1
O19 O 0.190 0.926 0.621 1
O20 O 0.192 0.586 0.954 1
O21 O 0.197 0.789 0.070 1
O22 O 0.202 0.446 0.393 1
O23 O 0.205 0.428 0.678 1
O24 O 0.207 0.579 0.058 1
O25 O 0.208 0.098 0.013 1
O26 O 0.209 0.453 0.003 1
O27 O 0.213 0.767 0.346 1
O28 O 0.214 0.788 0.664 1
O29 O 0.216 0.244 0.393 1
O30 O 0.219 0.263 0.003 1
O31 O 0.219 0.931 0.338 1
O32 O 0.220 0.121 0.335 1
O33 O 0.222 0.908 0.723 1
O34 O 0.224 0.780 0.956 1
O35 O 0.225 0.593 0.670 1
O36 O 0.230 0.110 0.620 1
O37 O 0.233 0.456 0.280 1
O38 O 0.242 0.929 0.011 1
O39 O 0.244 0.259 0.679 1
O40 O 0.264 0.591 0.346 1
O41 O 0.360 0.594 0.846 1
O42 O 0.366 0.262 0.176 1
O43 O 0.373 0.929 0.511 1
O44 O 0.389 0.782 0.453 1
O45 O 0.391 0.457 0.780 1
O46 O 0.391 0.592 0.170 1
O47 O 0.393 0.122 0.834 1
O48 O 0.396 0.788 0.166 1
O49 O 0.398 0.116 0.118 1
O50 O 0.405 0.243 0.893 1
O51 O 0.406 0.907 0.227 1
O52 O 0.409 0.453 0.504 1
O53 O 0.411 0.577 0.560 1
O54 O 0.412 0.428 0.178 1
O55 O 0.413 0.790 0.569 1
O56 O 0.415 0.764 0.847 1
O57 O 0.416 0.934 0.838 1
O58 O 0.417 0.253 0.502 1
O59 O 0.424 0.103 0.508 1
O60 O 0.425 0.123 0.234 1
O61 O 0.425 0.448 0.893 1
O62 O 0.426 0.587 0.456 1
O63 O 0.426 0.925 0.124 1
O64 O 0.428 0.258 0.790 1
O65 O 0.490 0.685 0.669 1
O66 O 0.490 0.704 0.345 1
O67 O 0.491 0.021 0.335 1
O68 O 0.495 0.004 0.623 1
O69 O 0.495 0.034 0.009 1
O70 O 0.495 0.342 0.004 1
O71 O 0.495 0.369 0.676 1
O72 O 0.496 0.355 0.395 1
O73 O 0.503 0.334 0.283 1
O74 O 0.512 0.673 0.951 1
O75 O 0.514 0.689 0.055 1
O76 O 0.523 0.025 0.738 1
O77 O 0.596 0.525 0.237 1
O78 O 0.604 0.188 0.556 1
O79 O 0.606 0.172 0.452 1
O80 O 0.613 0.836 0.782 1
O81 O 0.620 0.505 0.123 1
O82 O 0.621 0.194 0.843 1
O83 O 0.621 0.857 0.894 1
O84 O 0.623 0.863 0.175 1
O85 O 0.626 0.530 0.837 1
O86 O 0.627 0.194 0.172 1
O87 O 0.629 0.535 0.510 1
O88 O 0.630 0.846 0.507 1
O89 O 0.676 0.938 0.394 1
O90 O 0.682 0.615 0.734 1
O91 O 0.686 0.758 0.290 1
O92 O 0.687 0.087 0.951 1
O93 O 0.689 0.426 0.621 1
O94 O 0.691 0.602 0.007 1
O95 O 0.694 0.285 0.070 1
O96 O 0.701 0.434 0.338 1
O97 O 0.702 0.263 0.348 1
O98 O 0.702 0.753 0.001 1
O99 O 0.704 0.621 0.335 1
O100 O 0.706 0.929 0.678 1
O101 O 0.713 0.287 0.664 1
O102 O 0.713 0.744 0.393 1
O103 O 0.718 0.954 0.000 1
O104 O 0.719 0.079 0.054 1
O105 O 0.722 0.407 0.723 1
O106 O 0.725 0.093 0.670 1
O107 O 0.728 0.610 0.621 1
O108 O 0.738 0.951 0.285 1
O109 O 0.744 0.280 0.956 1
O110 O 0.745 0.759 0.678 1
O111 O 0.754 0.090 0.349 1
O112 O 0.757 0.425 0.012 1
O113 O 0.857 0.091 0.843 1
O114 O 0.873 0.758 0.178 1
O115 O 0.874 0.430 0.512 1
O116 O 0.888 0.280 0.458 1
O117 O 0.888 0.615 0.115 1
O118 O 0.889 0.949 0.785 1
O119 O 0.896 0.415 0.221 1
O120 O 0.897 0.292 0.166 1
O121 O 0.898 0.621 0.834 1
O122 O 0.901 0.095 0.172 1
O123 O 0.904 0.743 0.892 1
O124 O 0.908 0.953 0.503 1
O125 O 0.911 0.078 0.559 1
O126 O 0.915 0.292 0.572 1
O127 O 0.915 0.435 0.838 1
O128 O 0.915 0.927 0.175 1
O129 O 0.916 0.263 0.843 1
O130 O 0.918 0.754 0.502 1
O131 O 0.923 0.604 0.509 1
O132 O 0.925 0.953 0.901 1
O133 O 0.926 0.087 0.455 1
O134 O 0.928 0.426 0.118 1
O135 O 0.934 0.756 0.788 1
O136 O 0.938 0.605 0.225 1
O137 O 0.988 0.856 0.008 1
O138 O 0.989 0.532 0.008 1
O139 O 0.990 0.183 0.668 1
O140 O 0.994 0.505 0.624 1
O141 O 0.995 0.193 0.346 1
O142 O 0.995 0.523 0.338 1
O143 O 0.996 0.870 0.676 1
O144 O 0.999 0.198 0.057 1
```


(2)
A relaxed structure of Na4Y2Zr2Si3S3O24, computed with PBE-GGA.

Values from the calculation:
- E (MP2020) (eV per cell) = -874.045
- density (g/cm3) = 2.89
- VASP energy (eV/atom) = -7.233

Cell and atoms, written as CIF:
```
data_Na4Y2Zr2Si3S3O24
_chemical_formula_sum 'Na12 Y6 Zr6 Si9 S9 O72'
_symmetry_space_group_name_H-M 'P 1'
_symmetry_Int_Tables_number 1
_cell_length_a 9.236
_cell_length_b 9.253
_cell_length_c 23.595
_cell_angle_alpha 89.88
_cell_angle_beta 89.86
_cell_angle_gamma 60.20
loop_
_symmetry_equiv_pos_as_xyz
'x,y,z'
loop_
_atom_site_label
_atom_site_type_symbol
_atom_site_fract_x
_atom_site_fract_y
_atom_site_fract_z
_atom_site_occupancy
Na1 Na 0.000 0.000 0.000 1
Na2 Na 0.002 0.665 0.595 1
Na3 Na 0.032 0.656 0.080 1
Na4 Na 0.040 0.346 0.162 1
Na5 Na 0.335 0.324 0.683 1
Na6 Na 0.358 0.020 0.768 1
Na7 Na 0.368 0.667 0.854 1
Na8 Na 0.380 0.987 0.257 1
Na9 Na 0.655 0.677 0.341 1
Na10 Na 0.673 0.334 0.434 1
Na11 Na 0.684 0.326 0.921 1
Na12 Na 0.703 0.996 0.515 1
Y1 Y 0.020 0.669 0.449 1
Y2 Y 0.026 0.660 0.946 1
Y3 Y 0.361 0.004 0.613 1
Y4 Y 0.361 0.994 0.110 1
Y5 Y 0.678 0.336 0.279 1
Y6 Y 0.695 0.319 0.782 1
Zr1 Zr 0.013 0.687 0.747 1
Zr2 Zr 0.329 0.024 0.909 1
Zr3 Zr 0.370 0.004 0.414 1
Zr4 Zr 0.675 0.369 0.070 1
Zr5 Zr 0.681 0.337 0.575 1
Zr6 Zr 0.997 0.688 0.242 1
Si1 Si 0.020 0.970 0.850 1
Si2 Si 0.054 0.303 0.018 1
Si3 Si 0.310 0.376 0.840 1
Si4 Si 0.348 0.717 0.008 1
Si5 Si 0.354 0.304 0.515 1
Si6 Si 0.647 0.702 0.511 1
Si7 Si 0.682 0.638 0.183 1
Si8 Si 0.692 0.036 0.676 1
Si9 Si 0.717 0.973 0.348 1
S1 S 0.024 0.376 0.342 1
S2 S 0.054 0.015 0.510 1
S3 S 0.307 0.682 0.343 1
S4 S 0.382 0.347 0.178 1
S5 S 0.388 0.629 0.678 1
S6 S 0.644 0.016 0.011 1
S7 S 0.715 0.683 0.843 1
S8 S 0.975 0.348 0.676 1
S9 S 0.976 0.043 0.178 1
O1 O 0.001 0.481 0.392 1
O2 O 0.002 0.871 0.186 1
O3 O 0.013 0.492 0.011 1
O4 O 0.026 0.872 0.505 1
O5 O 0.041 0.844 0.795 1
O6 O 0.046 0.457 0.290 1
O7 O 0.141 0.030 0.459 1
O8 O 0.142 0.033 0.176 1
O9 O 0.143 0.196 0.673 1
O10 O 0.148 0.995 0.562 1
O11 O 0.151 0.225 0.077 1
O12 O 0.155 0.176 0.964 1
O13 O 0.171 0.208 0.348 1
O14 O 0.179 0.703 0.008 1
O15 O 0.197 0.465 0.781 1
O16 O 0.203 0.966 0.850 1
O17 O 0.205 0.490 0.505 1
O18 O 0.209 0.689 0.292 1
O19 O 0.214 0.503 0.183 1
O20 O 0.218 0.496 0.894 1
O21 O 0.226 0.627 0.681 1
O22 O 0.232 0.660 0.394 1
O23 O 0.319 0.838 0.345 1
O24 O 0.328 0.227 0.573 1
O25 O 0.330 0.825 0.064 1
O26 O 0.335 0.188 0.850 1
O27 O 0.351 0.204 0.175 1
O28 O 0.354 0.800 0.670 1
O29 O 0.377 0.803 0.951 1
O30 O 0.383 0.172 0.460 1
O31 O 0.468 0.360 0.127 1
O32 O 0.481 0.325 0.229 1
O33 O 0.481 0.519 0.628 1
O34 O 0.482 0.538 0.339 1
O35 O 0.484 0.560 0.730 1
O36 O 0.488 0.376 0.837 1
O37 O 0.516 0.528 0.016 1
O38 O 0.520 0.025 0.675 1
O39 O 0.529 0.826 0.178 1
O40 O 0.533 0.792 0.451 1
O41 O 0.534 0.974 0.348 1
O42 O 0.538 0.298 0.517 1
O43 O 0.541 0.036 0.961 1
O44 O 0.550 0.838 0.846 1
O45 O 0.551 0.828 0.562 1
O46 O 0.568 0.995 0.064 1
O47 O 0.659 0.163 0.727 1
O48 O 0.661 0.168 0.017 1
O49 O 0.667 0.517 0.518 1
O50 O 0.672 0.553 0.242 1
O51 O 0.687 0.541 0.836 1
O52 O 0.689 0.158 0.341 1
O53 O 0.711 0.509 0.129 1
O54 O 0.712 0.131 0.617 1
O55 O 0.806 0.698 0.793 1
O56 O 0.812 0.659 0.895 1
O57 O 0.814 0.870 0.007 1
O58 O 0.820 0.844 0.292 1
O59 O 0.821 0.883 0.404 1
O60 O 0.827 0.696 0.506 1
O61 O 0.862 0.850 0.684 1
O62 O 0.867 0.638 0.186 1
O63 O 0.868 0.366 0.338 1
O64 O 0.870 0.159 0.843 1
O65 O 0.873 0.361 0.625 1
O66 O 0.874 0.296 0.021 1
O67 O 0.878 0.115 0.126 1
O68 O 0.885 0.170 0.513 1
O69 O 0.890 0.146 0.228 1
O70 O 0.892 0.340 0.728 1
O71 O 0.996 0.892 0.908 1
O72 O 0.999 0.497 0.677 1
```